(1)
A relaxed Pb crystal, computed with PBE.

Unit cell a=3.5639 b=3.5639 c=11.6019 alpha=90.00 beta=90.00 gamma=120.00
Last column: nearest neighbours and their distance in Å.
Sites, in units of the cell vectors:
Pb 0.0000 0.0000 0.0000  12 Pb 3.56
Pb 0.0000 0.0000 0.5000  12 Pb 3.56
Pb 0.3333 0.6667 0.2500  12 Pb 3.56
Pb 0.6667 0.3333 0.7500  12 Pb 3.56

Output
E above lowest polymorph   0.017 eV per atom
Total DFT energy (no corrections)   -3.70 eV per atom
DFT formation energy   0.017 eV/atom
Space-group type   P6_3/mmc, No. 194
V   127.6 Å³ per cell

***

(2)
A relaxed Cr3S4 crystal, computed with PBE.

Unit cell a=5.9476 b=3.4433 c=11.0951 alpha=90.00 beta=91.23 gamma=90.00
Last column: nearest neighbours and their distance in Å.
Sites, in units of the cell vectors:
Cr 0.0000 0.0000 0.0000  6 S 2.40-2.48
Cr 0.0108 0.0000 0.7466  6 S 2.35-2.43
Cr 0.4827 0.5000 0.7621  6 S 2.35-2.44
Cr 0.4947 0.5000 0.5037  6 S 2.40-2.46
Cr 0.5285 0.5000 0.2465  6 S 2.34-2.49
Cr 0.9653 0.0000 0.2651  6 S 2.34-2.50
S 0.1559 0.5000 0.1393  5 Cr 2.48-2.50
S 0.1652 0.5000 0.6296  4 Cr 2.35-2.43
S 0.3289 0.0000 0.8785  4 Cr 2.35-2.40
S 0.3401 0.0000 0.3663  5 Cr 2.46-2.47
S 0.6548 0.0000 0.6392  5 Cr 2.41-2.46
S 0.6629 0.0000 0.1238  4 Cr 2.35-2.45
S 0.8288 0.5000 0.3856  4 Cr 2.34-2.40
S 0.8381 0.5000 0.8677  5 Cr 2.39-2.45

Output
E above lowest polymorph   0.021 eV per atom
Total DFT energy (no corrections)   -7.14 eV per atom
DFT formation energy   -0.925 eV/atom
Space-group type   Pm, No. 6
V   227.2 Å³ per cell

***

(3)
A relaxed Cs2KYF6 crystal, computed with PBE.

Unit cell a=6.8033 b=6.8033 c=6.8033 alpha=60.00 beta=60.00 gamma=60.00
Last column: nearest neighbours and their distance in Å.
Sites, in units of the cell vectors:
Cs 0.2500 0.2500 0.2500  12 F 3.41
Cs 0.7500 0.7500 0.7500  12 F 3.41
K 0.0000 0.0000 0.0000  6 F 2.62
Y 0.5000 0.5000 0.5000  6 F 2.20
F 0.2718 0.2718 0.7282  1 Y 2.20
F 0.2718 0.7282 0.2718  1 Y 2.20
F 0.2718 0.7282 0.7282  1 Y 2.20
F 0.7282 0.2718 0.2718  1 Y 2.20
F 0.7282 0.2718 0.7282  1 Y 2.20
F 0.7282 0.7282 0.2718  1 Y 2.20

Output
Total DFT energy (no corrections)   -5.40 eV per atom
DFT formation energy   -3.588 eV/atom
Space-group type   Fm-3m, No. 225
V   222.7 Å³ per cell

***

> The lowest DFT formation energy belongs to which entry?

Cs2KYF6